# 1
Mg14NbZnO16 | GGA-PBE | optimized geometry

ΔH_f (0 K), eV/atom: -2.816
M_tot, μB per atom: 0.057
Symmetry: No. 123
E (MP2020), eV/atom: -6.345
Energy above the most stable polymorph in this dataset, kJ/mol of atoms: 0.00

Cell lengths 8.627, 8.627, 4.289 Å; angles 90.00, 90.00, 90.00 degrees
Positions (direct):
Mg1 0.245 0.500 0.500
Mg2 0.752 0.752 0.000
Mg3 0.500 0.000 0.000
Mg4 0.500 0.755 0.500
Mg5 0.755 0.500 0.500
Mg6 0.500 0.245 0.500
Mg7 0.248 0.248 0.000
Mg8 0.752 0.248 0.000
Mg9 0.249 0.000 0.500
Mg10 0.000 0.249 0.500
Mg11 0.000 0.751 0.500
Mg12 0.248 0.752 0.000
Mg13 0.000 0.500 0.000
Mg14 0.751 0.000 0.500
O1 0.749 0.251 0.500
O2 0.000 0.747 0.000
O3 0.500 0.000 0.500
O4 0.500 0.239 0.000
O5 0.000 0.500 0.500
O6 0.251 0.251 0.500
O7 0.000 0.000 0.500
O8 0.253 0.000 0.000
O9 0.761 0.500 0.000
O10 0.500 0.761 0.000
O11 0.251 0.749 0.500
O12 0.000 0.253 0.000
O13 0.749 0.749 0.500
O14 0.239 0.500 0.000
O15 0.747 0.000 0.000
O16 0.500 0.500 0.500
Zn1 0.000 0.000 0.000
Nb1 0.500 0.500 0.000

# 2
MgTiBi2O6 | GGA-PBE | optimized geometry

ΔH_f (0 K), eV/atom: -2.497
M_tot, μB per atom: 0.000
Symmetry: No. 146
E (MP2020), eV/atom: -7.194

Cell lengths 5.727, 5.727, 5.727 Å; angles 58.88, 58.88, 58.88 degrees
Positions (direct):
O1 0.082 0.455 0.623
O2 0.559 0.121 0.987
O3 0.121 0.987 0.559
O4 0.623 0.082 0.455
O5 0.455 0.623 0.082
O6 0.987 0.559 0.121
Ti1 0.285 0.285 0.285
Bi1 0.011 0.011 0.011
Bi2 0.503 0.503 0.503
Mg1 0.786 0.786 0.786

# 3
IOF3 | GGA-PBE | optimized geometry

ΔH_f (0 K), eV/atom: -1.647
Symmetry: No. 19
Largest piezoelectric modulus, C/m²: 0.27
E (MP2020), eV/atom: -4.090

Cell lengths 5.777, 5.804, 10.626 Å; angles 90.00, 90.00, 90.00 degrees
Positions (direct):
F1 0.396 0.003 0.226
F2 0.356 0.847 0.001
F3 0.960 0.770 0.270
F4 0.040 0.270 0.230
F5 0.540 0.230 0.770
F6 0.144 0.153 0.501
F7 0.856 0.653 0.999
F8 0.604 0.503 0.274
F9 0.644 0.347 0.499
F10 0.896 0.497 0.774
F11 0.104 0.997 0.726
F12 0.460 0.730 0.730
O1 0.825 0.192 0.969
O2 0.325 0.308 0.031
O3 0.675 0.808 0.469
O4 0.175 0.692 0.531
I1 0.178 0.070 0.099
I2 0.322 0.930 0.599
I3 0.678 0.430 0.901
I4 0.822 0.570 0.401

# 4
HfMg14GaO16 | GGA-PBE | optimized geometry

ΔH_f (0 K), eV/atom: -2.834
M_tot, μB per atom: 0.000
Symmetry: No. 47
E (MP2020), eV/atom: -6.414

Cell lengths 8.743, 8.809, 4.332 Å; angles 90.00, 90.00, 90.00 degrees
Positions (direct):
Mg1 0.500 0.248 0.500
Mg2 0.258 0.500 0.500
Mg3 0.742 0.500 0.500
Mg4 0.500 0.500 0.000
Mg5 0.258 0.758 0.000
Mg6 0.254 0.000 0.500
Mg7 0.258 0.242 0.000
Mg8 0.500 0.752 0.500
Mg9 0.746 0.000 0.500
Mg10 0.742 0.758 0.000
Mg11 0.000 0.238 0.500
Mg12 0.000 0.762 0.500
Mg13 0.500 0.000 0.000
Mg14 0.742 0.242 0.000
O1 0.751 0.250 0.500
O2 0.500 0.745 0.000
O3 0.249 0.750 0.500
O4 0.746 0.500 0.000
O5 0.000 0.500 0.500
O6 0.000 0.270 0.000
O7 0.249 0.250 0.500
O8 0.500 0.000 0.500
O9 0.000 0.730 0.000
O10 0.000 0.000 0.500
O11 0.274 0.000 0.000
O12 0.500 0.500 0.500
O13 0.500 0.255 0.000
O14 0.751 0.750 0.500
O15 0.726 0.000 0.000
O16 0.254 0.500 0.000
Ga1 0.000 0.000 0.000
Hf1 0.000 0.500 0.000

# 5
Rb2Cd3S4 | GGA-PBE | optimized geometry

ΔH_f (0 K), eV/atom: -1.063
Symmetry: No. 62
E (MP2020), eV/atom: -3.427

Cell lengths 6.725, 10.762, 14.467 Å; angles 90.00, 90.00, 90.00 degrees
Positions (direct):
Rb1 0.000 0.000 0.000
Rb2 0.479 0.750 0.966
Rb3 0.521 0.250 0.034
Rb4 0.021 0.750 0.466
Rb5 0.979 0.250 0.534
Rb6 0.500 0.500 0.500
Rb7 0.500 0.000 0.500
Rb8 0.000 0.500 0.000
Cd1 0.323 0.906 0.253
Cd2 0.177 0.906 0.753
Cd3 0.241 0.250 0.793
Cd4 0.823 0.094 0.247
Cd5 0.677 0.406 0.747
Cd6 0.323 0.594 0.253
Cd7 0.259 0.250 0.293
Cd8 0.741 0.750 0.707
Cd9 0.177 0.594 0.753
Cd10 0.823 0.406 0.247
Cd11 0.759 0.750 0.207
Cd12 0.677 0.094 0.747
S1 0.392 0.038 0.859
S2 0.883 0.250 0.846
S3 0.108 0.038 0.359
S4 0.892 0.538 0.641
S5 0.044 0.250 0.144
S6 0.117 0.750 0.154
S7 0.956 0.750 0.856
S8 0.544 0.750 0.356
S9 0.608 0.962 0.141
S10 0.456 0.250 0.644
S11 0.617 0.250 0.346
S12 0.392 0.462 0.859
S13 0.383 0.750 0.654
S14 0.108 0.462 0.359
S15 0.608 0.538 0.141
S16 0.892 0.962 0.641

# 6
Ca5Ga2N4 | GGA-PBE | optimized geometry

ΔH_f (0 K), eV/atom: -0.903
Symmetry: No. 64
E (MP2020), eV/atom: -5.397

Cell lengths 6.111, 6.111, 14.338 Å; angles 90.00, 90.00, 132.94 degrees
Positions (direct):
Ca1 0.729 0.271 0.420
Ca2 0.000 0.000 0.500
Ca3 0.615 0.385 0.673
Ca4 0.385 0.615 0.327
Ca5 0.885 0.115 0.173
Ca6 0.271 0.729 0.580
Ca7 0.229 0.771 0.080
Ca8 0.771 0.229 0.920
Ca9 0.500 0.500 0.000
Ca10 0.115 0.885 0.827
N1 0.805 0.195 0.581
N2 0.420 0.580 0.157
N3 0.305 0.695 0.919
N4 0.195 0.805 0.419
N5 0.695 0.305 0.081
N6 0.580 0.420 0.843
N7 0.080 0.920 0.657
N8 0.920 0.080 0.343
Ga1 0.907 0.093 0.693
Ga2 0.407 0.593 0.807
Ga3 0.593 0.407 0.193
Ga4 0.093 0.907 0.307

# 7
Cd4As2Cl3 | GGA-PBE | optimized geometry

ΔH_f (0 K), eV/atom: -0.811
Symmetry: No. 205
E (MP2020), eV/atom: -2.873

Cell lengths 12.723, 12.723, 12.723 Å; angles 90.00, 90.00, 90.00 degrees
Positions (direct):
Cl1 0.926 0.271 0.316
Cl2 0.926 0.229 0.816
Cl3 0.771 0.184 0.074
Cl4 0.426 0.229 0.684
Cl5 0.316 0.574 0.771
Cl6 0.574 0.771 0.316
Cl7 0.816 0.926 0.229
Cl8 0.229 0.684 0.426
Cl9 0.074 0.771 0.184
Cl10 0.574 0.729 0.816
Cl11 0.729 0.816 0.574
Cl12 0.684 0.426 0.229
Cl13 0.816 0.574 0.729
Cl14 0.316 0.926 0.271
Cl15 0.184 0.074 0.771
Cl16 0.771 0.316 0.574
Cl17 0.271 0.316 0.926
Cl18 0.184 0.426 0.271
Cl19 0.426 0.271 0.184
Cl20 0.729 0.684 0.074
Cl21 0.684 0.074 0.729
Cl22 0.271 0.184 0.426
Cl23 0.074 0.729 0.684
Cl24 0.229 0.816 0.926
Cd1 0.513 0.747 0.020
Cd2 0.225 0.275 0.725
Cd3 0.520 0.987 0.253
Cd4 0.013 0.747 0.480
Cd5 0.480 0.487 0.247
Cd6 0.775 0.775 0.775
Cd7 0.247 0.020 0.987
Cd8 0.275 0.725 0.225
Cd9 0.013 0.753 0.980
Cd10 0.253 0.520 0.987
Cd11 0.987 0.247 0.020
Cd12 0.725 0.275 0.775
Cd13 0.513 0.753 0.520
Cd14 0.753 0.980 0.013
Cd15 0.275 0.775 0.725
Cd16 0.753 0.520 0.513
Cd17 0.247 0.480 0.487
Cd18 0.487 0.253 0.980
Cd19 0.980 0.487 0.253
Cd20 0.225 0.225 0.225
Cd21 0.747 0.480 0.013
Cd22 0.487 0.247 0.480
Cd23 0.775 0.725 0.275
Cd24 0.520 0.513 0.753
Cd25 0.480 0.013 0.747
Cd26 0.747 0.020 0.513
Cd27 0.253 0.980 0.487
Cd28 0.987 0.253 0.520
Cd29 0.020 0.987 0.247
Cd30 0.020 0.513 0.747
Cd31 0.725 0.225 0.275
Cd32 0.980 0.013 0.753
As1 0.445 0.055 0.945
As2 0.606 0.394 0.894
As3 0.394 0.606 0.106
As4 0.555 0.945 0.055
As5 0.894 0.606 0.394
As6 0.106 0.394 0.606
As7 0.606 0.106 0.394
As8 0.106 0.106 0.106
As9 0.945 0.445 0.055
As10 0.055 0.555 0.945
As11 0.055 0.945 0.445
As12 0.555 0.555 0.555
As13 0.445 0.445 0.445
As14 0.945 0.055 0.555
As15 0.894 0.894 0.894
As16 0.394 0.894 0.606

# 8
USb2OF14 | GGA-PBE | optimized geometry

ΔH_f (0 K), eV/atom: -2.954
M_tot, μB per atom: 0.000
Symmetry: No. 14
E (MP2020), eV/atom: -5.804

Cell lengths 8.142, 10.259, 15.298 Å; angles 90.00, 90.00, 99.96 degrees
Positions (direct):
F1 0.958 0.803 0.110
F2 0.649 0.670 0.478
F3 0.799 0.001 0.935
F4 0.871 0.637 0.832
F5 0.781 0.460 0.166
F6 0.479 0.405 0.867
F7 0.201 0.499 0.435
F8 0.548 0.147 0.701
F9 0.025 0.834 0.942
F10 0.042 0.197 0.890
F11 0.741 0.182 0.233
F12 0.479 0.905 0.633
F13 0.654 0.935 0.164
F14 0.201 0.999 0.065
F15 0.580 0.921 0.799
F16 0.129 0.863 0.332
F17 0.521 0.595 0.133
F18 0.259 0.818 0.767
F19 0.420 0.579 0.299
F20 0.667 0.728 0.961
F21 0.975 0.666 0.442
F22 0.781 0.960 0.334
F23 0.580 0.421 0.701
F24 0.219 0.040 0.666
F25 0.219 0.540 0.834
F26 0.259 0.318 0.733
F27 0.346 0.065 0.836
F28 0.333 0.772 0.461
F29 0.958 0.303 0.390
F30 0.025 0.334 0.558
F31 0.114 0.116 0.475
F32 0.333 0.272 0.039
F33 0.871 0.137 0.668
F34 0.351 0.830 0.978
F35 0.548 0.647 0.799
F36 0.649 0.170 0.022
F37 0.114 0.616 0.025
F38 0.667 0.228 0.539
F39 0.452 0.353 0.201
F40 0.886 0.384 0.975
F41 0.741 0.682 0.267
F42 0.278 0.288 0.347
F43 0.886 0.884 0.525
F44 0.521 0.095 0.367
F45 0.452 0.853 0.299
F46 0.351 0.330 0.522
F47 0.278 0.788 0.153
F48 0.799 0.501 0.565
F49 0.722 0.712 0.653
F50 0.654 0.435 0.336
F51 0.129 0.363 0.168
F52 0.722 0.212 0.847
F53 0.975 0.166 0.058
F54 0.420 0.079 0.201
F55 0.346 0.565 0.664
F56 0.042 0.697 0.610
Sb1 0.388 0.980 0.731
Sb2 0.612 0.520 0.231
Sb3 0.157 0.799 0.048
Sb4 0.388 0.480 0.769
Sb5 0.612 0.020 0.269
Sb6 0.843 0.201 0.952
Sb7 0.157 0.299 0.452
Sb8 0.843 0.701 0.548
U1 0.221 0.696 0.354
U2 0.221 0.196 0.146
U3 0.779 0.804 0.854
U4 0.779 0.304 0.646
O1 0.904 0.891 0.771
O2 0.096 0.609 0.271
O3 0.904 0.391 0.729
O4 0.096 0.109 0.229

# 9
K3Hg11 | GGA-PBE | optimized geometry

ΔH_f (0 K), eV/atom: -0.203
Symmetry: No. 71

Cell lengths 9.865, 9.865, 9.865 Å; angles 148.71, 112.44, 76.33 degrees
Positions (direct):
Hg1 0.419 0.134 0.285
Hg2 0.691 0.331 0.360
Hg3 0.970 0.331 0.640
Hg4 0.849 0.134 0.715
Hg5 0.030 0.669 0.360
Hg6 0.581 0.866 0.715
Hg7 0.700 0.500 0.200
Hg8 0.309 0.669 0.640
Hg9 0.500 0.000 0.500
Hg10 0.300 0.500 0.800
Hg11 0.151 0.866 0.285
K1 0.000 0.000 0.000
K2 0.693 0.693 0.000
K3 0.307 0.307 0.000

# 10
MgGa4P6H6O18 | GGA-PBE | optimized geometry

ΔH_f (0 K), eV/atom: -1.873
M_tot, μB per atom: 0.057
Symmetry: No. 174
E (MP2020), eV/atom: -6.319
Energy above the most stable polymorph in this dataset, kJ/mol of atoms: 12.72

Cell lengths 8.510, 8.510, 8.102 Å; angles 90.00, 90.00, 120.00 degrees
Positions (direct):
O1 0.140 0.712 0.405
O2 0.386 0.914 0.750
O3 0.617 0.144 0.250
O4 0.572 0.860 0.095
O5 0.447 0.195 0.914
O6 0.572 0.860 0.405
O7 0.856 0.473 0.250
O8 0.805 0.252 0.914
O9 0.288 0.428 0.405
O10 0.527 0.383 0.250
O11 0.288 0.428 0.095
O12 0.528 0.614 0.750
O13 0.447 0.195 0.586
O14 0.086 0.472 0.750
O15 0.748 0.553 0.586
O16 0.748 0.553 0.914
O17 0.805 0.252 0.586
O18 0.140 0.712 0.095
H1 0.959 0.151 0.750
H2 0.953 0.790 0.250
H3 0.838 0.047 0.250
H4 0.210 0.162 0.250
H5 0.192 0.041 0.750
H6 0.849 0.808 0.750
Ga1 0.667 0.333 0.463
Ga2 0.333 0.667 0.450
Ga3 0.333 0.667 0.050
Ga4 0.667 0.333 0.037
Mg1 0.333 0.667 0.750
P1 0.649 0.980 0.250
P2 0.020 0.669 0.250
P3 0.331 0.351 0.250
P4 0.712 0.625 0.750
P5 0.375 0.087 0.750
P6 0.913 0.288 0.750

# 11
Te2Mo3WS6 | GGA-PBE | optimized geometry

ΔH_f (0 K), eV/atom: -0.899
M_tot, μB per atom: 0.000
Symmetry: No. 156
E (MP2020), eV/atom: -7.282
Energy above the most stable polymorph in this dataset, kJ/mol of atoms: 0.10

Cell lengths 3.271, 3.271, 37.167 Å; angles 90.00, 90.00, 120.00 degrees
Positions (direct):
S1 0.333 0.667 0.699
S2 0.667 0.333 0.511
S3 0.333 0.667 0.616
S4 0.333 0.667 0.323
S5 0.333 0.667 0.240
S6 0.667 0.333 0.428
Mo1 0.667 0.333 0.282
Mo2 0.333 0.667 0.470
Mo3 0.333 0.667 0.094
Te1 0.667 0.333 0.042
Te2 0.667 0.333 0.146
W1 0.667 0.333 0.658

Look up the ΔH_f (0 K) of the third one. -1.647 eV/atom

The highest ΔH_f (0 K) belongs to which entry? K3Hg11